[1]
A relaxed Ce2MgSe4 crystal, computed with PBE-GGA.

abc: 14.729 8.659 6.955
angles: 90.00 90.00 90.00
Sites, in units of the cell vectors:
Ce 0.000 0.500 0.500
Ce 0.500 0.000 0.000
Ce 0.000 0.000 0.500
Se 0.831 0.986 0.257
Ce 0.233 0.750 0.997
Ce 0.500 0.500 0.000
Mg 0.907 0.750 0.086
Se 0.568 0.750 0.255
Ce 0.733 0.750 0.503
Mg 0.593 0.250 0.586
Se 0.331 0.986 0.243
Se 0.909 0.750 0.718
Se 0.831 0.514 0.257
Se 0.932 0.250 0.755
Mg 0.093 0.250 0.914
Ce 0.267 0.250 0.497
Se 0.169 0.486 0.743
Se 0.432 0.250 0.745
Se 0.091 0.250 0.282
Se 0.669 0.486 0.757
Se 0.068 0.750 0.245
Mg 0.407 0.750 0.414
Se 0.331 0.514 0.243
Ce 0.767 0.250 0.003
Se 0.591 0.250 0.218
Se 0.169 0.014 0.743
Se 0.409 0.750 0.782
Se 0.669 0.014 0.757

Summary:
Size of the total moment   2.006 μB per formula unit
Energy of formation   -12.9 eV/f.u.
Offset from the most stable computed form   20.7 meV/atom
Space group   Pnma (62)
Uncorrected energy   -5.4995 eV/atom

***

[2]
A relaxed ZrInNi4 crystal, computed with PBE-GGA.

abc: 4.857 4.857 4.857
angles: 60.00 60.00 60.00
Sites, in units of the cell vectors:
Ni 0.625 0.125 0.625
In 0.250 0.250 0.250
Ni 0.625 0.625 0.625
Ni 0.125 0.625 0.625
Zr 0.000 0.000 0.000
Ni 0.625 0.625 0.125

Summary:
Energy of formation   -2.2 eV/f.u.
Space group   F-43m (216)
Uncorrected energy   -6.1041 eV/atom

***

[3]
A relaxed LiMo6Cl13 crystal, computed with PBE-GGA.

abc: 8.909 9.071 13.981
angles: 95.60 102.92 113.73
Sites, in units of the cell vectors:
Li 0.030 0.268 0.274
Cl 0.851 0.213 0.480
Cl 0.584 0.835 0.945
Mo 0.607 0.229 0.529
Cl 0.497 0.472 0.782
Cl 0.503 0.528 0.218
Cl 0.346 0.217 0.573
Mo 0.297 0.003 0.432
Cl 0.379 0.037 0.793
Cl 0.469 0.215 0.351
Cl 0.236 0.617 0.033
Mo 0.685 0.616 0.953
Cl 0.071 0.224 0.108
Li 0.970 0.732 0.726
Mo 0.644 0.455 0.099
Cl 0.621 0.963 0.207
Mo 0.562 0.996 0.381
Mo 0.703 0.997 0.568
Cl 0.764 0.383 0.967
Cl 0.854 0.748 0.129
Cl 0.149 0.787 0.520
Mo 0.548 0.693 0.087
Cl 0.146 0.252 0.871
Cl 0.163 0.589 0.762
Mo 0.438 0.004 0.619
Cl 0.264 0.783 0.296
Cl 0.654 0.783 0.427
Cl 0.034 0.018 0.345
Cl 0.966 0.982 0.655
Mo 0.452 0.307 0.913
Mo 0.393 0.771 0.471
Cl 0.837 0.411 0.238
Mo 0.315 0.384 0.047
Cl 0.748 0.532 0.575
Cl 0.531 0.785 0.649
Cl 0.736 0.217 0.704
Cl 0.929 0.776 0.892
Cl 0.416 0.165 0.055
Cl 0.252 0.468 0.425
Mo 0.356 0.545 0.901

Summary:
Size of the total moment   0.000 μB per formula unit
Energy of formation   -28.2 eV/f.u.
Space group   P-1 (2)
Uncorrected energy   -5.5638 eV/atom

***

[4]
A relaxed EuNbO4 crystal, computed with PBE-GGA.

abc: 5.215 5.494 6.727
angles: 112.35 110.98 94.15
Sites, in units of the cell vectors:
O 0.517 0.710 0.938
O 0.783 0.446 0.581
Nb 0.357 0.607 0.214
Eu 0.878 0.128 0.256
O 0.298 0.135 0.581
O 0.483 0.290 0.062
Eu 0.122 0.872 0.744
O 0.702 0.865 0.419
O 0.079 0.773 0.062
O 0.217 0.554 0.419
Nb 0.643 0.393 0.786
O 0.921 0.227 0.938

Summary:
Energy of formation   -19.2 eV/f.u.
Space group   C2/c (15)
Uncorrected energy   -9.4276 eV/atom

***

[5]
A relaxed KNiCl3 crystal, computed with PBE-GGA.

abc: 11.900 11.900 5.976
angles: 90.00 90.00 120.00
Sites, in units of the cell vectors:
Cl 0.842 0.000 0.756
Cl 0.332 0.508 0.883
Ni 0.333 0.667 0.131
Cl 0.825 0.492 0.883
Cl 0.668 0.492 0.383
K 0.335 0.000 0.830
Cl 0.175 0.508 0.383
Cl 0.492 0.825 0.883
Cl 0.000 0.158 0.256
Cl 0.158 0.158 0.756
Cl 0.842 0.842 0.256
Ni 0.333 0.667 0.631
Ni 0.000 0.000 0.009
K 0.335 0.335 0.330
K 0.665 0.000 0.330
Cl 0.158 0.000 0.256
K 0.000 0.335 0.830
Ni 0.667 0.333 0.631
Ni 0.667 0.333 0.131
Cl 0.175 0.668 0.883
Cl 0.000 0.842 0.756
Cl 0.668 0.175 0.883
K 0.000 0.665 0.330
K 0.665 0.665 0.830
Cl 0.508 0.332 0.883
Cl 0.332 0.825 0.383
Cl 0.508 0.175 0.383
Cl 0.825 0.332 0.383
Ni 0.000 0.000 0.509
Cl 0.492 0.668 0.383

Summary:
Energy of formation   -7.7 eV/f.u.
Space group   P6_3cm (185)
Uncorrected energy   -3.6494 eV/atom

***

[6]
A relaxed ZnSeO4 crystal, computed with PBE-GGA.

abc: 4.870 4.923 6.173
angles: 90.00 90.00 90.00
Sites, in units of the cell vectors:
Se 0.478 0.342 0.000
Se 0.978 0.658 0.500
O 0.832 0.825 0.713
O 0.332 0.175 0.787
Zn 0.027 0.902 0.000
O 0.816 0.302 0.000
Zn 0.527 0.098 0.500
O 0.316 0.698 0.500
O 0.332 0.175 0.213
O 0.385 0.665 0.000
O 0.885 0.335 0.500
O 0.832 0.825 0.287

Summary:
Size of the total moment   0.000 μB per formula unit
Maximum piezoelectric response   1.1 C/m2
Energy of formation   -7.8 eV/f.u.
Space group   Pmn2_1 (31)
Uncorrected energy   -4.9405 eV/atom

***

[7]
A relaxed MgTe6Mo2W2S2 crystal, computed with PBE-GGA.

abc: 3.487 3.487 40.907
angles: 90.02 90.00 120.00
Sites, in units of the cell vectors:
Mo 0.667 0.333 0.279
Mo 0.333 0.667 0.471
W 0.333 0.667 0.094
Te 0.667 0.333 0.426
Te 0.333 0.666 0.613
W 0.667 0.333 0.658
S 0.333 0.666 0.244
Te 0.667 0.334 0.139
Mg 0.000 0.999 0.363
Te 0.333 0.667 0.703
Te 0.667 0.333 0.049
S 0.334 0.668 0.317
Te 0.667 0.334 0.516

Summary:
Size of the total moment   0.054 μB per formula unit
Energy of formation   -3.7 eV/f.u.
Offset from the most stable computed form   10.3 meV/atom
Space group   P3m1 (156)
Uncorrected energy   -6.0816 eV/atom

***

[8]
A relaxed K2NaMgTiOF5 crystal, computed with PBE-GGA.

abc: 7.015 6.209 6.061
angles: 59.19 68.90 63.73
Sites, in units of the cell vectors:
Ti 0.913 0.008 0.071
F 0.681 0.846 0.212
Mg 0.141 0.609 0.640
Na 0.645 0.433 0.490
F 0.930 0.186 0.698
F 0.352 0.707 0.672
O 0.123 0.810 0.258
F 0.352 0.270 0.672
K 0.287 0.207 0.299
F 0.681 0.261 0.212
K 0.540 0.780 0.901

Summary:
Size of the total moment   0.000 μB per formula unit
Energy of formation   -31.5 eV/f.u.
Offset from the most stable computed form   0.0 meV/atom
Space group   Cm (8)
Uncorrected energy   -5.0998 eV/atom

***

[9]
A relaxed Ti3Cu crystal, computed with PBE-GGA.

abc: 3.968 3.968 3.968
angles: 90.00 90.00 90.00
Sites, in units of the cell vectors:
Ti 0.500 0.000 0.500
Ti 0.500 0.500 0.000
Ti 0.000 0.500 0.500
Cu 0.000 0.000 0.000

Summary:
Size of the total moment   0.858 μB per formula unit
Energy of formation   0.1 eV/f.u.
Space group   Pm-3m (221)
Uncorrected energy   -6.9256 eV/atom

***

[10]
A relaxed BaMg3 crystal, computed with PBE-GGA.

abc: 5.543 5.543 5.543
angles: 120.20 120.20 89.66
Sites, in units of the cell vectors:
Mg 0.500 0.500 0.000
Mg 0.750 0.250 0.500
Ba 0.000 0.000 0.000
Mg 0.250 0.750 0.500

Summary:
Size of the total moment   0.002 μB per formula unit
Energy of formation   0.0 eV/f.u.
Space group   I4/mmm (139)
Uncorrected energy   -1.6843 eV/atom

***

[11]
A relaxed ZnAs2C12N12F12 crystal, computed with PBE-GGA.

abc: 9.724 9.724 9.724
angles: 59.22 59.22 59.22
Sites, in units of the cell vectors:
F 0.636 0.719 0.425
N 0.946 0.326 0.294
N 0.108 0.990 0.748
C 0.827 0.025 0.385
C 0.025 0.385 0.827
C 0.758 0.041 0.541
N 0.010 0.252 0.892
F 0.155 0.360 0.448
C 0.242 0.959 0.459
F 0.364 0.281 0.575
C 0.541 0.758 0.041
C 0.385 0.827 0.025
F 0.360 0.448 0.155
F 0.552 0.845 0.640
C 0.615 0.173 0.975
N 0.706 0.054 0.674
As 0.636 0.636 0.636
N 0.674 0.706 0.054
C 0.959 0.459 0.242
F 0.575 0.364 0.281
F 0.640 0.552 0.845
N 0.990 0.748 0.108
N 0.326 0.294 0.946
N 0.748 0.108 0.990
F 0.845 0.640 0.552
N 0.054 0.674 0.706
C 0.041 0.541 0.758
N 0.294 0.946 0.326
C 0.173 0.975 0.615
C 0.975 0.615 0.173
F 0.425 0.636 0.719
F 0.719 0.425 0.636
F 0.448 0.155 0.360
N 0.252 0.892 0.010
C 0.459 0.242 0.959
As 0.364 0.364 0.364
F 0.281 0.575 0.364
Zn 0.000 0.000 0.000
N 0.892 0.010 0.252

Summary:
Size of the total moment   0.003 μB per formula unit
Energy of formation   -21.5 eV/f.u.
Space group   R-3 (148)
Uncorrected energy   -6.6731 eV/atom

***

[12]
A relaxed Rh3Se8 crystal, computed with PBE-GGA.

abc: 6.060 6.060 6.060
angles: 90.89 90.89 90.89
Sites, in units of the cell vectors:
Se 0.617 0.118 0.888
Rh 0.000 0.500 0.500
Se 0.888 0.617 0.118
Se 0.882 0.112 0.383
Rh 0.500 0.500 0.000
Rh 0.500 0.000 0.500
Se 0.621 0.621 0.621
Se 0.383 0.882 0.112
Se 0.112 0.383 0.882
Se 0.379 0.379 0.379
Se 0.118 0.888 0.617

Summary:
Energy of formation   -8.0 eV/f.u.
Offset from the most stable computed form   0.0 meV/atom
Space group   R-3 (148)
Uncorrected energy   -4.9339 eV/atom

***

uncorrected energy of number 9 (Ti3Cu)? -6.9256 eV/atom